Density functional theory data (GGA+U) for crystalline Ba2YMgFe3O8 at its relaxed geometry.

Values from the calculation:
- Formation energy: -226.8 kJ per mole of atoms
- Offset from the most stable computed form: 0 meV/atom
- Final energy: -99.89 eV per cell
- Crystal system: tetragonal

Lattice parameters (Å, degrees): 3.9897 3.9897 15.1814 90.00 90.00 90.00
Closest atoms and distances in Å follow each position.
Atoms (fractional coordinates):
O 0.0000 0.5000 0.5933  2 Fe 2.05
O 0.5000 0.0000 0.5933  2 Fe 2.05
O 0.0000 0.5000 0.4067  2 Fe 2.05
O 0.0000 0.0000 0.2472  1 Fe 1.94
O 0.0000 0.0000 0.7528  1 Fe 1.94
O 0.5000 0.0000 0.4067  2 Fe 2.05
O 0.0000 0.5000 0.0000  2 Fe 1.99, 2 Mg 1.99
O 0.5000 0.0000 0.0000  2 Mg 1.99, 2 Fe 1.99
Y 0.5000 0.5000 0.5000  8 O 2.45
Fe 0.0000 0.0000 0.3746  5 O 1.94-2.05
Fe 0.0000 0.0000 0.6254  5 O 1.94-2.05
Fe 0.0000 0.0000 0.0000  4 O 1.99
Ba 0.5000 0.5000 0.7408  8 O 2.83-3.00
Ba 0.5000 0.5000 0.2592  8 O 2.83-3.00
Mg 0.5000 0.5000 0.0000  4 O 1.99